Computed, not measured: Mg3Cd after structural relaxation at the PBE level of DFT. Values from VASP.

Structure (Quantum ESPRESSO input):
```
&SYSTEM
  ibrav = 0, nat = 4, ntyp = 2
/
ATOMIC_SPECIES
Mg 24.30 Mg.upf
Cd 112.41 Cd.upf
ATOMIC_POSITIONS crystal
Mg 0.000 0.000 0.000
Mg 0.250 0.250 0.250
Mg 0.750 0.750 0.750
Cd 0.500 0.500 0.500
CELL_PARAMETERS angstrom
0.000 3.537 3.537
3.537 0.000 3.537
3.537 3.537 0.000
```

Output
Its space group is Fm-3m. As for the formation energy: -0.11 eV/f.u. The electronic total energy is -1.458 eV/atom.